# 1
An optimized crystal structure of Fe3Sb, computed with GGA-PBE.

- Energy of formation: 27 meV per atom
- Energy: -7.310 eV/atom
- Space-group type: No. 194

abc: 5.4938 5.4938 4.3595
angles: 90.00 90.00 120.00
With the nearest neighbours (Å) after each atom.
Sites, in units of the cell vectors:
Fe 0.1522 0.3045 0.2500  6 Fe 2.51-2.62, 4 Sb 2.75-2.78
Fe 0.6955 0.8478 0.2500  6 Fe 2.51-2.62, 4 Sb 2.75-2.78
Fe 0.1522 0.8478 0.2500  6 Fe 2.51-2.62, 4 Sb 2.75-2.78
Fe 0.8478 0.6955 0.7500  6 Fe 2.51-2.62, 4 Sb 2.75-2.78
Fe 0.3045 0.1522 0.7500  6 Fe 2.51-2.62, 4 Sb 2.75-2.78
Fe 0.8478 0.1522 0.7500  6 Fe 2.51-2.62, 4 Sb 2.75-2.78
Sb 0.3333 0.6667 0.7500  12 Fe 2.75-2.78
Sb 0.6667 0.3333 0.2500  12 Fe 2.75-2.78



# 2
An optimized crystal structure of Fe4Sb3, computed with GGA-PBE.

- Energy of formation: 354 meV per atom
- Energy: -6.174 eV/atom
- Space-group type: No. 187

abc: 4.0687 4.0687 9.7189
angles: 90.00 90.00 120.00
With the nearest neighbours (Å) after each atom.
Sites, in units of the cell vectors:
Fe 0.6667 0.3333 0.1230  2 Fe 2.39-2.42, 3 Sb 2.61
Fe 0.6667 0.3333 0.6276  2 Fe 2.42-2.48, 6 Sb 2.66-2.68
Fe 0.6667 0.3333 0.3724  2 Fe 2.42-2.48, 6 Sb 2.66-2.68
Fe 0.6667 0.3333 0.8770  2 Fe 2.39-2.42, 3 Sb 2.61
Sb 0.3333 0.6667 0.5000  6 Fe 2.66
Sb 0.0000 0.0000 0.2407  6 Fe 2.61-2.68
Sb 0.0000 0.0000 0.7593  6 Fe 2.61-2.68



# 3
An optimized crystal structure of Sc6FeSb2, computed with GGA-PBE.

- Energy of formation: -623 meV per atom
- Energy: -6.661 eV/atom
- Space-group type: No. 189

abc: 7.6591 7.6591 3.9070
angles: 90.00 90.00 120.00
With the nearest neighbours (Å) after each atom.
Sites, in units of the cell vectors:
Sc 0.6108 0.0000 0.5000  1 Fe 2.98, 4 Sb 3.07, 4 Sc 3.25
Sc 0.3892 0.3892 0.5000  1 Fe 2.98, 4 Sb 3.07, 4 Sc 3.25
Sc 0.0000 0.6108 0.5000  1 Fe 2.98, 4 Sb 3.07, 4 Sc 3.25
Sc 0.2321 0.0000 0.0000  2 Fe 2.64
Sc 0.7679 0.7679 0.0000  2 Fe 2.64
Sc 0.0000 0.2321 0.0000  2 Fe 2.64
Fe 0.0000 0.0000 0.5000  6 Sc 2.64
Sb 0.3333 0.6667 0.0000  9 Sc 3.02-3.07
Sb 0.6667 0.3333 0.0000  9 Sc 3.02-3.07